Dy2ZrS5 | the Materials Project database | meta-GGA r2SCAN | relaxed; formation energy = -1673.2 kJ/mol of formula units; raw total energy = -18.028 eV/atom
1.0
7.2520 0.0000 0.0000
0.0000 7.7410 0.0000
0.0000 0.0000 11.5638
Dy S Zr
8 20 4
Direct
0.0211 0.5026 0.1791
0.5211 0.4974 0.3209
0.0211 0.9974 0.1791
0.9789 0.4974 0.8209
0.9789 0.0026 0.8209
0.4789 0.9974 0.6791
0.5211 0.0026 0.3209
0.4789 0.5026 0.6791
0.3393 0.0370 0.9053
0.5503 0.2500 0.5028
0.4497 0.7500 0.4972
0.8090 0.2500 0.2916
0.3315 0.2500 0.1821
0.1607 0.0370 0.4053
0.6910 0.2500 0.7916
0.3090 0.7500 0.2084
0.1607 0.4630 0.4053
0.1685 0.2500 0.6821
0.8393 0.5370 0.5947
0.6685 0.7500 0.8179
0.8315 0.7500 0.3179
0.6607 0.9630 0.0947
0.8393 0.9630 0.5947
0.3393 0.4630 0.9053
0.6607 0.5370 0.0947
0.1910 0.7500 0.7084
0.9497 0.2500 0.0028
0.0503 0.7500 0.9972
0.4221 0.7500 0.9937
0.9221 0.2500 0.5063
0.0779 0.7500 0.4937
0.5779 0.2500 0.0063